A plane-wave DFT calculation with PBE was carried out for an optimized crystal structure of Mg2AlO6.

Cell lengths 5.3739, 5.3770, 10.4202 Å; angles 89.43, 76.53, 64.13 degrees
Fractional positions:
Mg 0.1705 0.1700 0.0000
Mg 0.8295 0.8300 0.0000
Al 0.5000 0.5000 0.0000
O 0.1289 0.5502 0.0864
O 0.2546 0.7729 0.9162
O 0.4213 0.8423 0.0866
O 0.5787 0.1577 0.9134
O 0.7454 0.2271 0.0838
O 0.8711 0.4498 0.9136

Output
Calculated formation energy: -1837 meV per atom
MP2020-corrected energy: -5.907 eV/atom
E: -49.04 eV per formula unit
Density: 1.09 g cm⁻³
Space-group type: No. 2
Calculated volume: 29.11 A^3/atom